No. 1
This record from the Materials Project describes a geometry-optimized TmCr2Fe10 structure. The functional is PBE-GGA.

a = 4.690 Å, b = 6.387 Å, c = 6.387 Å
α = 97.38°, β = 111.54°, γ = 68.46°
Sites, in units of the cell vectors:
Tm 0.000 0.000 0.000
Cr 0.000 0.367 0.367
Cr 0.000 0.633 0.633
Fe 0.724 0.776 0.224
Fe 0.276 0.224 0.776
Fe 0.500 0.774 0.774
Fe 0.500 0.226 0.226
Fe 0.500 0.000 0.500
Fe 0.000 0.000 0.500
Fe 0.500 0.500 0.000
Fe 0.000 0.500 0.000
Fe 0.641 0.359 0.641
Fe 0.359 0.641 0.359

Summary:
- Formation energy from the elements: -6.1 meV per atom
- Raw total energy: -8.351 eV/atom
- Magnetic moment: 17.2 μB/cell

=====

No. 2
This record from the Materials Project describes a geometry-optimized NbTlCl6 structure. The functional is PBE-GGA.

a = 6.971 Å, b = 6.971 Å, c = 12.513 Å
α = 79.61°, β = 79.61°, γ = 55.43°
Sites, in units of the cell vectors:
Nb 0.500 0.000 0.500
Nb 0.000 0.500 0.000
Tl 0.881 0.119 0.750
Tl 0.119 0.881 0.250
Cl 0.463 0.699 0.604
Cl 0.537 0.301 0.396
Cl 0.301 0.537 0.896
Cl 0.699 0.463 0.104
Cl 0.370 0.201 0.659
Cl 0.630 0.799 0.341
Cl 0.799 0.630 0.841
Cl 0.201 0.370 0.159
Cl 0.795 0.895 0.040
Cl 0.205 0.105 0.960
Cl 0.105 0.205 0.460
Cl 0.895 0.795 0.540

Summary:
- Formation energy from the elements: -1651.8 meV per atom
- Raw total energy: -4.136 eV/atom

=====

No. 3
This record from the Materials Project describes a geometry-optimized Nd2Ta3Se2O8 structure. The functional is PBE-GGA.

a = 7.655 Å, b = 9.973 Å, c = 11.955 Å
α = 90.00°, β = 90.00°, γ = 90.00°
Sites, in units of the cell vectors:
Nd 0.000 0.227 0.351
Nd 0.000 0.773 0.649
Nd 0.500 0.273 0.851
Nd 0.500 0.727 0.149
Nd 0.000 0.710 0.156
Nd 0.000 0.290 0.844
Nd 0.500 0.790 0.656
Nd 0.500 0.210 0.344
Ta 0.250 0.364 0.084
Ta 0.750 0.636 0.916
Ta 0.250 0.636 0.916
Ta 0.250 0.136 0.584
Ta 0.750 0.364 0.084
Ta 0.750 0.864 0.416
Ta 0.250 0.864 0.416
Ta 0.750 0.136 0.584
Ta 0.214 0.000 0.000
Ta 0.786 0.000 0.000
Ta 0.286 0.500 0.500
Ta 0.714 0.500 0.500
Se 0.000 0.018 0.164
Se 0.000 0.982 0.836
Se 0.500 0.482 0.664
Se 0.500 0.518 0.336
Se 0.000 0.523 0.360
Se 0.000 0.477 0.640
Se 0.500 0.977 0.860
Se 0.500 0.023 0.140
O 0.000 0.366 0.051
O 0.000 0.634 0.949
O 0.500 0.134 0.551
O 0.500 0.866 0.449
O 0.247 0.287 0.225
O 0.753 0.713 0.775
O 0.247 0.713 0.775
O 0.253 0.213 0.725
O 0.753 0.287 0.225
O 0.747 0.787 0.275
O 0.253 0.787 0.275
O 0.747 0.213 0.725
O 0.000 0.149 0.549
O 0.000 0.851 0.451
O 0.500 0.351 0.049
O 0.500 0.649 0.951
O 0.264 0.303 0.475
O 0.736 0.697 0.525
O 0.264 0.697 0.525
O 0.236 0.197 0.975
O 0.736 0.303 0.475
O 0.764 0.803 0.025
O 0.236 0.803 0.025
O 0.764 0.197 0.975
O 0.245 0.057 0.397
O 0.755 0.943 0.603
O 0.245 0.943 0.603
O 0.255 0.443 0.897
O 0.755 0.057 0.397
O 0.745 0.557 0.103
O 0.255 0.557 0.103
O 0.745 0.443 0.897

Summary:
- Formation energy from the elements: -3097.8 meV per atom
- Raw total energy: -8.844 eV/atom
- Magnetic moment: 0.0 μB/cell

=====

Which of these has the lowest raw total energy? Nd2Ta3Se2O8

=====

Among the records above, which one has the lowest formation energy from the elements? Nd2Ta3Se2O8